Entry 1:
Compound: K3MgPCO7
Source: Materials Project
Functional: GGA-PBE
Structure: optimized geometry Values from VASP.

```
&SYSTEM
  ibrav = 0, nat = 26, ntyp = 5
/
ATOMIC_SPECIES
K 39.10 K.upf
Mg 24.30 Mg.upf
P 30.97 P.upf
C 12.01 C.upf
O 16.00 O.upf
ATOMIC_POSITIONS angstrom
K 1.330 1.732 4.102
K 1.425 3.554 7.511
K 1.425 6.839 7.511
K 4.175 0.090 2.113
K 4.175 3.375 2.113
K 4.270 5.197 5.522
Mg 1.292 5.197 1.364
Mg 4.308 1.732 8.260
P 1.541 1.732 0.714
P 4.059 5.197 8.910
C 1.433 5.197 3.956
C 4.167 1.732 5.668
O 0.302 5.197 3.300
O 0.451 1.732 9.182
O 1.358 0.463 1.602
O 1.358 3.001 1.602
O 1.457 5.197 5.252
O 2.532 5.197 3.251
O 2.616 5.197 9.511
O 2.984 1.732 0.113
O 3.068 1.732 6.373
O 4.143 1.732 4.372
O 4.242 3.928 8.022
O 4.242 6.466 8.022
O 5.149 5.197 0.442
O 5.298 1.732 6.324
CELL_PARAMETERS angstrom
5.652 0.000 0.000
0.000 6.929 0.000
-0.053 0.000 9.624
```

Volume = 376.9 Å³ per cell
Total magnetization = 0.0 μB per formula unit
Electronic total energy = -6.344 eV/atom
Formation energy = -2.544 eV per atom

***

Entry 2:
Compound: LiDyP4O12
Source: Materials Project
Functional: GGA-PBE
Structure: optimized geometry Values from VASP.

```
&SYSTEM
  ibrav = 0, nat = 36, ntyp = 4
/
ATOMIC_SPECIES
Li 6.94 Li.upf
Dy 162.50 Dy.upf
P 30.97 P.upf
O 16.00 O.upf
ATOMIC_POSITIONS angstrom
Li 3.940 2.091 5.886
Li 6.796 -2.091 1.962
Dy 6.796 1.455 1.962
Dy 3.940 -1.455 5.886
P -1.268 0.365 4.837
P 1.589 -0.365 0.913
P 1.226 1.069 6.330
P 6.653 1.069 5.442
P 4.083 -1.069 2.406
P 9.510 -1.069 1.518
P 9.147 0.365 6.935
P 12.004 -0.365 3.011
O 1.228 0.908 1.824
O -1.354 0.032 3.367
O -4.211 -0.032 7.291
O 4.588 2.057 2.478
O 0.304 0.564 5.126
O 0.593 0.832 7.667
O -1.629 -0.908 5.748
O 9.005 2.057 1.446
O 3.161 -0.564 1.202
O 2.625 0.587 6.067
O 5.255 0.587 5.706
O 3.450 -0.832 3.742
O 7.286 0.832 4.106
O 5.482 -0.587 2.142
O 8.111 -0.587 1.782
O 7.575 0.564 6.647
O 1.731 -2.057 6.402
O 12.365 0.908 2.100
O 10.143 -0.832 0.182
O 10.432 -0.564 2.722
O 6.148 -2.057 5.370
O 14.947 0.032 0.558
O 12.090 -0.032 4.482
O 9.508 -0.908 6.024
CELL_PARAMETERS angstrom
8.225 -3.566 0.000
8.225 3.566 0.000
-5.714 0.000 7.848
```

Volume = 460.4 Å³ per cell
Total magnetization = 0.0 μB per formula unit
Electronic total energy = -7.336 eV/atom
Formation energy = -2.930 eV per atom

***

Entry 3:
Compound: LiCuF3
Source: Materials Project
Functional: GGA-PBE
Structure: optimized geometry Values from VASP.

```
&SYSTEM
  ibrav = 0, nat = 30, ntyp = 3
/
ATOMIC_SPECIES
Li 6.94 Li.upf
Cu 63.55 Cu.upf
F 19.00 F.upf
ATOMIC_POSITIONS angstrom
Li 0.000 0.513 3.653
Li -2.084 4.123 13.394
Li 0.444 0.256 1.218
Li 2.084 4.123 8.523
Li 4.613 0.256 6.088
Li 2.528 3.867 10.959
Cu 0.000 2.506 10.959
Cu -0.358 3.127 6.088
Cu 0.358 3.127 1.218
Cu 2.170 1.253 8.523
Cu 2.887 1.253 13.394
Cu 2.528 1.874 3.653
F -0.609 1.055 12.176
F -1.919 3.324 4.871
F -0.479 1.789 2.294
F -1.219 3.070 0.141
F 1.218 0.000 7.306
F 0.609 1.055 9.741
F 0.479 1.789 5.012
F -0.740 3.900 12.035
F 1.789 0.480 2.576
F 1.310 1.309 14.471
F 1.219 3.070 7.165
F 0.740 3.900 9.882
F 3.268 0.480 4.730
F 2.050 2.591 12.317
F 3.839 0.000 0.000
F 1.919 3.324 2.435
F 3.747 1.309 7.447
F 3.007 2.591 9.600
CELL_PARAMETERS angstrom
5.057 0.000 0.000
-2.528 4.379 0.000
0.000 0.000 14.612
```

Energy above the lowest structure with this stoichiometry = 2.9 kJ per mole of atoms
Volume = 323.6 Å³ per cell
Total magnetization = 1.0 μB per formula unit
Electronic total energy = -4.384 eV/atom
Formation energy = -2.311 eV per atom

***

Entry 4:
Compound: SrMgCuO2
Source: Materials Project
Functional: GGA-PBE
Structure: optimized geometry Values from VASP.

```
&SYSTEM
  ibrav = 0, nat = 5, ntyp = 4
/
ATOMIC_SPECIES
Sr 87.62 Sr.upf
Mg 24.30 Mg.upf
Cu 63.55 Cu.upf
O 16.00 O.upf
ATOMIC_POSITIONS angstrom
Sr 0.000 0.000 0.000
Mg 0.000 1.944 2.505
Cu 1.660 1.944 4.445
O 1.660 0.000 4.450
O 1.660 1.944 1.296
CELL_PARAMETERS angstrom
3.320 0.000 0.000
0.000 3.888 0.000
0.000 0.000 6.165
```

Volume = 79.6 Å³ per cell
Total magnetization = 0.0 μB per formula unit
Electronic total energy = -4.742 eV/atom
Formation energy = -1.560 eV per atom